Here is BaHo2Te4 after structural relaxation from the Materials Project database. Energies are from GGA-PBE.

Cell and atoms, written as POSCAR:
```
BaHo2Te4
1.0
13.7973 0.0000 0.0000
0.0000 4.4758 0.0000
0.0000 0.0000 16.2683
Ba Ho Te
4 8 16
direct
0.2387 0.2500 0.1696
0.2613 0.7500 0.6696
0.7387 0.2500 0.3304
0.7613 0.7500 0.8304
0.0590 0.2500 0.3902
0.0807 0.2500 0.9035
0.4193 0.7500 0.4035
0.4410 0.7500 0.8902
0.5590 0.2500 0.1098
0.5807 0.2500 0.5965
0.9193 0.7500 0.0965
0.9410 0.7500 0.6098
0.0275 0.7500 0.7842
0.0898 0.2500 0.5759
0.1268 0.7500 0.0284
0.2047 0.7500 0.3403
0.2953 0.2500 0.8403
0.3732 0.2500 0.5284
0.4102 0.7500 0.0759
0.4725 0.2500 0.2842
0.5275 0.7500 0.7158
0.5898 0.2500 0.9241
0.6268 0.7500 0.4716
0.7047 0.7500 0.1597
0.7953 0.2500 0.6597
0.8732 0.2500 0.9716
0.9102 0.7500 0.4241
0.9725 0.2500 0.2158
```

Calculated values
The calculation puts the formation energy from the elements at -171 kJ/mol of atoms. Its crystal system is orthorhombic. For the energy, the calculation gives -4.91 eV/atom.

***

Here is Ba5La3I19 after structural relaxation from the Materials Project database. Energies are from GGA-PBE.

Cell and atoms, written as POSCAR:
```
Ba5La3I19
1.0
12.0498 0.0000 0.0000
1.8318 15.2084 0.0000
4.1092 -0.1205 15.4777
Ba La I
10 6 38
direct
0.1005 0.1404 0.1544
0.1752 0.1903 0.7622
0.2856 0.6529 0.2888
0.3470 0.4134 0.9305
0.3614 0.2945 0.3366
0.6386 0.7055 0.6634
0.6530 0.5866 0.0695
0.7144 0.3471 0.7112
0.8248 0.8097 0.2378
0.8995 0.8596 0.8456
0.1671 0.5325 0.6779
0.2546 0.9948 0.4876
0.3338 0.8240 0.0109
0.6662 0.1760 0.9891
0.7454 0.0052 0.5124
0.8329 0.4675 0.3221
0.0000 0.0000 0.5000
0.0016 0.6256 0.2980
0.0568 0.3160 0.3124
0.1074 0.5403 0.8773
0.1125 0.8684 0.1743
0.1353 0.2732 0.9671
0.1777 0.8041 0.8885
0.1824 0.9705 0.6927
0.2318 0.2014 0.5353
0.2479 0.4919 0.4672
0.3003 0.0726 0.2958
0.3010 0.0270 0.9799
0.3215 0.7982 0.4356
0.3227 0.6179 0.0492
0.3502 0.3680 0.7063
0.3511 0.6628 0.6505
0.4019 0.2389 0.1052
0.4483 0.4645 0.2033
0.4727 0.7952 0.1610
0.5000 0.0000 0.5000
0.5273 0.2048 0.8390
0.5517 0.5355 0.7967
0.5981 0.7611 0.8948
0.6489 0.3372 0.3495
0.6498 0.6320 0.2937
0.6773 0.3821 0.9508
0.6785 0.2018 0.5644
0.6990 0.9730 0.0201
0.6997 0.9274 0.7042
0.7521 0.5081 0.5329
0.7682 0.7986 0.4647
0.8176 0.0295 0.3073
0.8223 0.1959 0.1115
0.8647 0.7268 0.0329
0.8875 0.1316 0.8257
0.8926 0.4597 0.1227
0.9432 0.6840 0.6876
0.9984 0.3744 0.7020
```

Calculated values
The calculation puts the formation energy from the elements at -181 kJ/mol of atoms. Its crystal system is triclinic. For the energy, the calculation gives -3.58 eV/atom.

***

Here is ScWN3 after structural relaxation from the Materials Project database. Energies are from GGA-PBE.

Cell and atoms, written as POSCAR:
```
ScWN3
1.0
5.7071 0.0000 0.0000
0.7185 6.7122 0.0000
2.3606 -0.2429 8.3822
Sc W N
4 4 12
direct
0.1809 0.2161 0.2533
0.2408 0.0556 0.6027
0.7592 0.9444 0.3973
0.8191 0.7839 0.7467
0.0080 0.3720 0.8625
0.3109 0.7644 0.3256
0.6891 0.2356 0.6744
0.9920 0.6280 0.1375
0.9999 0.3286 0.0762
0.0001 0.6714 0.9238
0.0996 0.8924 0.2035
0.1053 0.7799 0.5306
0.2595 0.5132 0.2349
0.3179 0.3228 0.7227
0.4224 0.0380 0.3546
0.5776 0.9620 0.6454
0.6821 0.6772 0.2773
0.7405 0.4868 0.7651
0.8947 0.2201 0.4694
0.9004 0.1076 0.7965
```

Calculated values
The calculation puts the formation energy from the elements at -99 kJ/mol of atoms. Its crystal system is triclinic. For the energy, the calculation gives -9.67 eV/atom.

***

Here is CaB2O9 after structural relaxation from the Materials Project database. Energies are from GGA-PBE.

Cell and atoms, written as POSCAR:
```
CaB2O9
1.0
6.2710 0.0000 0.0000
2.7548 6.4045 0.0000
0.1233 1.8807 7.9919
Ca B O
2 4 18
direct
0.2052 0.3875 0.3122
0.7948 0.6125 0.6878
0.3572 0.4799 0.7392
0.4082 0.8720 0.3191
0.5918 0.1280 0.6809
0.6428 0.5201 0.2608
0.0972 0.7695 0.9542
0.1859 0.4200 0.8316
0.2011 0.5573 0.5852
0.2085 0.9796 0.4081
0.2239 0.8288 0.8569
0.3587 0.0703 0.1959
0.3853 0.1828 0.5756
0.4132 0.6833 0.2689
0.4314 0.6311 0.7990
0.5686 0.3689 0.2010
0.5868 0.3167 0.7311
0.6147 0.8172 0.4244
0.6413 0.9297 0.8041
0.7761 0.1712 0.1431
0.7915 0.0204 0.5919
0.7989 0.4427 0.4148
0.8141 0.5800 0.1684
0.9028 0.2305 0.0458
```

Calculated values
The calculation puts the formation energy from the elements at -110 kJ/mol of atoms. Its crystal system is triclinic. For the energy, the calculation gives -6.01 eV/atom.

***

> Which of these has the lowest energy?

ScWN3

***

> Number 2 is which compound?

Ba5La3I19

***

> Number 3 is which compound?

ScWN3

***

> Number 1 is which compound?

BaHo2Te4